A relaxed structure of CdTePb6O10, computed with PBE-GGA.

Cell lengths 9.3088, 11.7540, 11.5158 Å; angles 90.00, 90.00, 90.00 degrees
Closest atoms and distances in Å follow each position.
Space group C222_1 (No. 20)
Asymmetric unit:
Cd 0.0000 0.0778 0.2500  6 O 2.27-2.51
Te 0.1748 0.0000 0.0000  6 O 1.97-2.01
Pb 0.0000 0.4917 0.7500  2 O 2.23
Pb 0.0054 0.2800 0.4849  3 O 2.26-2.48
Pb 0.2012 0.0000 0.5000  6 O 2.47-2.74
Pb 0.2087 0.2140 0.7602  3 O 2.27-2.52
O 0.0183 0.0618 0.8976  1 Te 2.01
O 0.1278 0.3805 0.1507  3 Pb 2.23-2.32
O 0.1504 0.1717 0.3721  2 Pb 2.26-2.28, 1 Cd 2.27
O 0.1700 0.1406 0.0929  1 Te 1.97
O 0.1823 0.4307 0.3949  1 Te 1.97

Summary:
ΔE_f: -1520 meV per atom
Crystal system: orthorhombic
Calculated volume: 17.5 Å³/atom
Corrected total energy (MP2020 scheme): -5.733 eV/atom